Record 1
Compound: LuHSe
Source: the Materials Project database
Functional: meta-GGA r2SCAN
Structure: optimized geometry

Properties
Theoretical density = 9.17 g/cm³
Total energy = -20.207 eV per atom

Lattice parameters (Å, degrees): 3.733 3.733 3.823 90.00 90.00 120.00
Element x y z (fractional)
Lu1 0.000 0.000 0.000
H1 0.333 0.667 0.000
Se1 0.667 0.333 0.500

Record 2
Compound: MgH4N2
Source: the Materials Project database
Functional: meta-GGA r2SCAN
Structure: optimized geometry

Properties
Theoretical density = 1.46 g/cm³
Total energy = -5.779 eV per atom

Lattice parameters (Å, degrees): 12.391 12.391 12.391 132.03 132.03 70.18
Element x y z (fractional)
Mg1 0.064 0.305 0.995
Mg2 0.069 0.064 0.259
Mg3 0.190 0.931 0.495
Mg4 0.195 0.436 0.505
Mg5 0.305 0.810 0.241
Mg6 0.310 0.805 0.741
Mg7 0.431 0.690 0.995
Mg8 0.436 0.431 0.241
Mg9 0.564 0.569 0.759
Mg10 0.569 0.310 0.005
Mg11 0.690 0.195 0.259
Mg12 0.695 0.190 0.759
Mg13 0.805 0.564 0.495
Mg14 0.810 0.069 0.505
Mg15 0.931 0.936 0.741
Mg16 0.936 0.695 0.005
H1 0.015 0.783 0.851
H2 0.029 0.668 0.246
H3 0.045 0.643 0.489
H4 0.056 0.154 0.511
H5 0.068 0.717 0.732
H6 0.078 0.216 0.746
H7 0.082 0.614 0.889
H8 0.114 0.582 0.389
H9 0.143 0.545 0.989
H10 0.154 0.143 0.098
H11 0.164 0.015 0.732
H12 0.168 0.529 0.746
H13 0.193 0.082 0.968
H14 0.216 0.971 0.138
H15 0.217 0.568 0.232
H16 0.225 0.193 0.611
H17 0.275 0.886 0.968
H18 0.283 0.515 0.351
H19 0.284 0.422 0.754
H20 0.307 0.275 0.889
H21 0.332 0.078 0.362
H22 0.336 0.068 0.851
H23 0.346 0.444 0.989
H24 0.357 0.346 0.402
H25 0.386 0.775 0.468
H26 0.418 0.307 0.532
H27 0.422 0.168 0.138
H28 0.432 0.164 0.649
H29 0.444 0.955 0.098
H30 0.455 0.944 0.598
H31 0.471 0.716 0.638
H32 0.485 0.336 0.768
H33 0.515 0.664 0.232
H34 0.529 0.284 0.362
H35 0.545 0.056 0.402
H36 0.556 0.045 0.902
H37 0.568 0.836 0.351
H38 0.578 0.832 0.862
H39 0.582 0.693 0.468
H40 0.614 0.225 0.532
H41 0.643 0.654 0.598
H42 0.654 0.556 0.011
H43 0.664 0.932 0.149
H44 0.668 0.922 0.638
H45 0.693 0.725 0.111
H46 0.716 0.578 0.246
H47 0.717 0.485 0.649
H48 0.725 0.114 0.032
H49 0.775 0.807 0.389
H50 0.783 0.432 0.768
H51 0.784 0.029 0.862
H52 0.807 0.918 0.032
H53 0.832 0.471 0.254
H54 0.836 0.985 0.268
H55 0.846 0.857 0.902
H56 0.857 0.455 0.011
H57 0.886 0.418 0.611
H58 0.918 0.386 0.111
H59 0.922 0.784 0.254
H60 0.932 0.283 0.268
H61 0.944 0.846 0.489
H62 0.955 0.357 0.511
H63 0.971 0.332 0.754
H64 0.985 0.217 0.149
N1 0.007 0.757 0.250
N2 0.021 0.250 0.271
N3 0.109 0.116 0.975
N4 0.116 0.641 0.007
N5 0.134 0.109 0.493
N6 0.141 0.616 0.507
N7 0.243 0.993 0.250
N8 0.250 0.479 0.229
N9 0.250 0.979 0.729
N10 0.257 0.507 0.750
N11 0.359 0.866 0.475
N12 0.366 0.859 0.975
N13 0.384 0.391 0.525
N14 0.391 0.366 0.007
N15 0.479 0.750 0.229
N16 0.493 0.743 0.750
N17 0.507 0.257 0.250
N18 0.521 0.250 0.771
N19 0.609 0.634 0.993
N20 0.616 0.609 0.475
N21 0.634 0.141 0.025
N22 0.641 0.134 0.525
N23 0.743 0.493 0.250
N24 0.750 0.021 0.271
N25 0.750 0.521 0.771
N26 0.757 0.007 0.750
N27 0.859 0.384 0.493
N28 0.866 0.891 0.507
N29 0.884 0.359 0.993
N30 0.891 0.884 0.025
N31 0.979 0.750 0.729
N32 0.993 0.243 0.750